# Cs2AlAgCl6 PBE-GGA optimized geometry
data_Cs2AlAgCl6
_chemical_formula_sum 'Cs8 Al4 Ag4 Cl24'
_cell_length_a 10.3791
_cell_length_b 10.3791
_cell_length_c 10.3791
_cell_angle_alpha 90.00
_cell_angle_beta 90.00
_cell_angle_gamma 90.00
_symmetry_space_group_name_H-M 'F m -3 m'
_symmetry_Int_Tables_number 225
_symmetry_space_group_name_Hall '-F 4 2 3'
loop_
_atom_site_label
_atom_site_fract_x
_atom_site_fract_y
_atom_site_fract_z
_atom_site_occupancy
Cs1 0.2500 0.2500 0.2500 1
Al1 0.0000 0.0000 0.0000 1
Ag1 0.0000 0.0000 0.5000 1
Cl1 0.0000 0.0000 0.2284 1
# Formation energy (meV/atom): -1880
# Uncorrected energy (eV/cell): -138.291